<P>
DFT (GGA-PBE) results for CaSi2SnO6 after structural relaxation.

Calculated values
* magnetization: 0.000 μB per cell
* V: 137 Å³/f.u.

Lattice parameters (Å, degrees): 5.538 20.441 9.677 90.00 90.00 90.00
Element x y z (fractional)
Ca 0.125 0.125 0.143
Ca 0.125 0.375 0.643
Ca 0.375 0.625 0.143
Ca 0.375 0.875 0.643
Ca 0.625 0.125 0.357
Ca 0.625 0.375 0.857
Ca 0.875 0.625 0.357
Ca 0.875 0.875 0.857
Si 0.006 0.737 0.661
Si 0.006 0.763 0.161
Si 0.234 0.013 0.838
Si 0.234 0.487 0.338
Si 0.266 0.513 0.838
Si 0.266 0.987 0.338
Si 0.494 0.237 0.661
Si 0.494 0.263 0.161
Si 0.506 0.737 0.839
Si 0.506 0.763 0.339
Si 0.734 0.013 0.662
Si 0.734 0.487 0.162
Si 0.766 0.513 0.662
Si 0.766 0.987 0.162
Si 0.994 0.237 0.839
Si 0.994 0.263 0.339
Sn 0.126 0.123 0.542
Sn 0.126 0.377 0.042
Sn 0.374 0.623 0.542
Sn 0.374 0.877 0.042
Sn 0.626 0.123 0.958
Sn 0.626 0.377 0.458
Sn 0.874 0.623 0.958
Sn 0.874 0.877 0.458
O 0.012 0.682 0.145
O 0.012 0.818 0.645
O 0.028 0.694 0.522
O 0.028 0.806 0.022
O 0.030 0.532 0.737
O 0.030 0.968 0.237
O 0.236 0.567 0.351
O 0.236 0.933 0.851
O 0.237 0.555 0.979
O 0.237 0.945 0.479
O 0.248 0.719 0.758
O 0.248 0.781 0.258
O 0.252 0.219 0.758
O 0.252 0.281 0.258
O 0.263 0.055 0.979
O 0.263 0.445 0.479
O 0.264 0.067 0.351
O 0.264 0.433 0.851
O 0.470 0.032 0.737
O 0.470 0.468 0.237
O 0.472 0.194 0.522
O 0.472 0.306 0.022
O 0.488 0.182 0.145
O 0.488 0.318 0.645
O 0.512 0.682 0.355
O 0.512 0.818 0.855
O 0.528 0.694 0.978
O 0.528 0.806 0.478
O 0.530 0.532 0.763
O 0.530 0.968 0.263
O 0.736 0.567 0.149
O 0.736 0.933 0.649
O 0.737 0.555 0.521
O 0.737 0.945 0.021
O 0.748 0.719 0.742
O 0.748 0.781 0.242
O 0.752 0.219 0.742
O 0.752 0.281 0.242
O 0.763 0.055 0.521
O 0.763 0.445 0.021
O 0.764 0.067 0.149
O 0.764 0.433 0.649
O 0.970 0.032 0.763
O 0.970 0.468 0.263
O 0.972 0.194 0.978
O 0.972 0.306 0.478
O 0.988 0.182 0.355
O 0.988 0.318 0.855

***

<Q>
DFT (GGA-PBE) results for CaSi2SnO6 after structural relaxation.

Calculated values
* magnetization: 0.000 μB per cell
* V: 137 Å³/f.u.

Lattice parameters (Å, degrees): 7.238 7.238 5.425 100.43 100.43 84.58
Element x y z (fractional)
Ca 0.179 0.821 0.750
Ca 0.821 0.179 0.250
Si 0.117 0.312 0.762
Si 0.312 0.117 0.262
Si 0.688 0.883 0.738
Si 0.883 0.688 0.238
Sn 0.387 0.613 0.250
Sn 0.613 0.387 0.750
O 0.108 0.675 0.343
O 0.162 0.189 0.008
O 0.189 0.162 0.508
O 0.208 0.513 0.835
O 0.325 0.892 0.157
O 0.487 0.792 0.665
O 0.513 0.208 0.335
O 0.675 0.108 0.843
O 0.792 0.487 0.165
O 0.811 0.838 0.492
O 0.838 0.811 0.992
O 0.892 0.325 0.657

***

Energy ordering: <P> at the bottom, the next structure 34 meV/atom above.